A plane-wave DFT calculation with PBE with a Hubbard U was carried out for crystalline Na4Fe2C4SO16 at its relaxed geometry.

a b c (Å): 9.9607 9.9319 9.7304
angles (deg): 60.86 60.57 58.57
Atoms (fractional coordinates):
Na: 0.7086 0.2914 0.7086
O: 0.4857 0.9879 0.2172
O: 0.9767 0.3213 0.2210
O: 0.9409 0.0328 0.2621
Fe: 0.1250 0.1250 0.1250
S: 0.5000 0.5000 0.5000
S: 0.7500 0.7500 0.7500
Fe: 0.6250 0.1250 0.1250
O: 0.5586 0.5590 0.5684
O: 0.3091 0.2172 0.9879
Na: 0.9590 0.5410 0.5410
O: 0.2733 0.9287 0.0290
C: 0.9160 0.9131 0.9029
O: 0.2351 0.9775 0.3060
C: 0.9820 0.3471 0.3369
Fe: 0.1250 0.6250 0.1250
O: 0.2725 0.0149 0.7686
Na: 0.2910 0.7090 0.7090
O: 0.3213 0.9767 0.4810
O: 0.3140 0.5684 0.5590
Fe: 0.1250 0.1250 0.6250
O: 0.0149 0.2725 0.9440
O: 0.0328 0.9409 0.7643
Na: 0.7090 0.2910 0.2910
O: 0.9775 0.2351 0.4814
O: 0.6914 0.6910 0.6816
C: 0.3369 0.3340 0.9820
O: 0.9287 0.2733 0.7690
C: 0.3471 0.9820 0.3340
O: 0.2172 0.3091 0.4857
C: 0.2680 0.9029 0.9131
O: 0.6910 0.6914 0.9360
Na: 0.5414 0.9586 0.5414
C: 0.3340 0.3369 0.3471
O: 0.0290 0.7690 0.2733
O: 0.7686 0.9440 0.2725
O: 0.6816 0.9360 0.6914
C: 0.9029 0.2680 0.9160
O: 0.9360 0.6816 0.6910
O: 0.7690 0.0290 0.9287
O: 0.2210 0.4810 0.9767
Na: 0.9586 0.5414 0.9586
O: 0.5684 0.3140 0.5586
O: 0.9879 0.4857 0.3091
O: 0.2621 0.7643 0.9409
O: 0.4814 0.3060 0.9775
Na: 0.2914 0.7086 0.2914
C: 0.9131 0.9160 0.2680
O: 0.9440 0.7686 0.0149
Na: 0.5410 0.9590 0.9590
O: 0.7643 0.2621 0.0328
O: 0.5590 0.5586 0.3140
O: 0.4810 0.2210 0.3213
O: 0.3060 0.4814 0.2351

Calculated values
Energy of formation from the pure elements = -1.931 eV per atom
Spin magnetization = 19.99 Bohr magnetons per cell
Energy above the lowest structure with this stoichiometry = 0 meV per atom

---

A plane-wave DFT calculation with PBE with a Hubbard U was carried out for crystalline MnCr2Ni3P6O24 at its relaxed geometry.

a b c (Å): 8.3581 8.3581 8.3581
angles (deg): 61.87 61.87 61.87
Atoms (fractional coordinates):
O: 0.1031 0.3295 0.5060
O: 0.3295 0.5060 0.1031
O: 0.5609 0.7481 0.3981
Cr: 0.4996 0.4996 0.4996
P: 0.9539 0.2512 0.5438
P: 0.0493 0.7496 0.4535
O: 0.6070 0.0126 0.8219
O: 0.2549 0.6020 0.4317
O: 0.3981 0.5609 0.7481
P: 0.2512 0.5438 0.9539
Ni: 0.6419 0.6419 0.6419
P: 0.4535 0.0493 0.7496
O: 0.9978 0.1788 0.3835
O: 0.6020 0.4317 0.2549
O: 0.7450 0.9464 0.0925
O: 0.7481 0.3981 0.5609
O: 0.1788 0.3835 0.9978
Mn: 0.1425 0.1425 0.1425
Cr: 0.9983 0.9983 0.9983
Ni: 0.3581 0.3581 0.3581
P: 0.7496 0.4535 0.0493
O: 0.5060 0.1031 0.3295
O: 0.9119 0.2466 0.0617
O: 0.8959 0.6811 0.4845
O: 0.6811 0.4845 0.8959
O: 0.3835 0.9978 0.1788
P: 0.5438 0.9539 0.2512
O: 0.0617 0.9119 0.2466
O: 0.2466 0.0617 0.9119
O: 0.4317 0.2549 0.6020
O: 0.0925 0.7450 0.9464
O: 0.8219 0.6070 0.0126
O: 0.9464 0.0925 0.7450
O: 0.4845 0.8959 0.6811
O: 0.0126 0.8219 0.6070
Ni: 0.8569 0.8569 0.8569

Calculated values
Energy of formation from the pure elements = -2.194 eV per atom
Spin magnetization = 17.09 Bohr magnetons per cell

---

A plane-wave DFT calculation with PBE with a Hubbard U was carried out for crystalline K5NaFe2C12O24 at its relaxed geometry.

a b c (Å): 13.8031 13.8031 13.8031
angles (deg): 90.00 90.00 90.00
Atoms (fractional coordinates):
O: 0.5601 0.4845 0.2947
C: 0.8010 0.9553 0.2703
C: 0.5447 0.7297 0.3010
K: 0.1250 0.2592 0.9908
O: 0.7523 0.2242 0.5931
C: 0.9435 0.3587 0.3634
O: 0.9514 0.1224 0.0450
O: 0.4591 0.5711 0.6565
O: 0.7477 0.7758 0.0931
C: 0.3010 0.5447 0.7297
O: 0.3776 0.9550 0.4514
C: 0.3913 0.1935 0.1134
K: 0.7408 0.4908 0.3750
K: 0.2408 0.0092 0.6250
O: 0.7014 0.7050 0.3724
O: 0.9553 0.7655 0.6899
O: 0.2909 0.9065 0.3211
C: 0.9553 0.2703 0.8010
O: 0.5486 0.8776 0.5450
O: 0.7986 0.2950 0.8724
K: 0.6250 0.2408 0.0092
Fe: 0.0105 0.4895 0.5105
C: 0.6366 0.4435 0.1413
O: 0.0258 0.4977 0.6569
O: 0.2242 0.5931 0.7523
C: 0.7053 0.9490 0.5203
C: 0.3587 0.3634 0.9435
O: 0.0447 0.2655 0.8101
O: 0.9591 0.9289 0.3435
O: 0.5935 0.6789 0.7909
O: 0.2986 0.2050 0.1276
C: 0.8065 0.6134 0.1087
C: 0.8866 0.8913 0.3065
O: 0.0601 0.0155 0.7053
O: 0.6224 0.4550 0.0486
C: 0.5203 0.7053 0.9490
O: 0.4289 0.1565 0.0409
O: 0.5258 0.0023 0.3431
O: 0.9742 0.9977 0.8431
C: 0.8913 0.3065 0.8866
O: 0.9977 0.8431 0.9742
K: 0.3750 0.7408 0.4908
C: 0.8587 0.1366 0.0565
O: 0.4742 0.5023 0.1569
O: 0.9069 0.2477 0.7242
K: 0.7592 0.5092 0.8750
O: 0.0711 0.8435 0.5409
O: 0.4553 0.7345 0.3101
O: 0.5450 0.5486 0.8776
O: 0.9845 0.2053 0.4399
C: 0.0447 0.7703 0.6990
K: 0.2592 0.9908 0.1250
C: 0.5510 0.4797 0.2053
C: 0.5565 0.6413 0.8634
O: 0.1569 0.4742 0.5023
O: 0.6276 0.2014 0.7950
C: 0.1413 0.6366 0.4435
O: 0.8435 0.5409 0.0711
Na: 0.1250 0.8750 0.3750
K: 0.9201 0.0799 0.5799
O: 0.3435 0.9591 0.9289
C: 0.4490 0.9797 0.2947
O: 0.4977 0.6569 0.0258
Na: 0.6250 0.6250 0.6250
K: 0.5092 0.8750 0.7592
C: 0.2053 0.5510 0.4797
O: 0.0023 0.3431 0.5258
O: 0.9289 0.3435 0.9591
O: 0.3431 0.5258 0.0023
C: 0.1935 0.1134 0.3913
K: 0.5799 0.9201 0.0799
Fe: 0.5105 0.0105 0.4895
O: 0.0409 0.4289 0.1565
C: 0.9490 0.5203 0.7053
O: 0.9399 0.5155 0.7947
O: 0.6789 0.7909 0.5935
C: 0.8634 0.5565 0.6413
O: 0.2091 0.0935 0.8211
K: 0.4201 0.4201 0.4201
O: 0.5931 0.7523 0.2242
Fe: 0.7395 0.7605 0.2395
O: 0.2947 0.5601 0.4845
C: 0.1134 0.3913 0.1935
K: 0.4908 0.3750 0.7408
O: 0.1276 0.2986 0.2050
O: 0.8724 0.7986 0.2950
O: 0.8211 0.2091 0.0935
O: 0.4845 0.2947 0.5601
K: 0.1701 0.3299 0.6701
K: 0.0092 0.6250 0.2408
O: 0.4065 0.1789 0.7091
K: 0.8299 0.8299 0.8299
C: 0.2703 0.8010 0.9553
O: 0.5409 0.0711 0.8435
O: 0.0486 0.6224 0.4550
C: 0.3634 0.9435 0.3587
C: 0.9797 0.2947 0.4490
O: 0.6569 0.0258 0.4977
O: 0.8776 0.5450 0.5486
O: 0.7091 0.4065 0.1789
O: 0.7053 0.0601 0.0155
O: 0.5447 0.2345 0.1899
O: 0.4399 0.9845 0.2053
O: 0.0931 0.7477 0.7758
O: 0.2050 0.1276 0.2986
Na: 0.3750 0.1250 0.8750
O: 0.1224 0.0450 0.9514
Fe: 0.7605 0.2395 0.7395
C: 0.0510 0.0203 0.7947
O: 0.2758 0.4069 0.2523
O: 0.2950 0.8724 0.7986
C: 0.1990 0.4553 0.2297
C: 0.1366 0.0565 0.8587
O: 0.0155 0.7053 0.0601
O: 0.6899 0.9553 0.7655
O: 0.5023 0.1569 0.4742
C: 0.4435 0.1413 0.6366
O: 0.5711 0.6565 0.4591
Fe: 0.9895 0.9895 0.9895
O: 0.3101 0.4553 0.7345
C: 0.4553 0.2297 0.1990
K: 0.3299 0.6701 0.1701
O: 0.7345 0.3101 0.4553
O: 0.7947 0.9399 0.5155
O: 0.9065 0.3211 0.2909
K: 0.0799 0.5799 0.9201
O: 0.4069 0.2523 0.2758
Fe: 0.2605 0.2605 0.2605
O: 0.8101 0.0447 0.2655
C: 0.6935 0.3866 0.6087
C: 0.6134 0.1087 0.8065
K: 0.6701 0.1701 0.3299
O: 0.4550 0.0486 0.6224
O: 0.2523 0.2758 0.4069
C: 0.4797 0.2053 0.5510
C: 0.2947 0.4490 0.9797
O: 0.2053 0.4399 0.9845
O: 0.6565 0.4591 0.5711
Fe: 0.2395 0.7395 0.7605
O: 0.7242 0.9069 0.2477
O: 0.7950 0.6276 0.2014
K: 0.9908 0.1250 0.2592
C: 0.6990 0.0447 0.7703
O: 0.4514 0.3776 0.9550
K: 0.8750 0.7592 0.5092
O: 0.2655 0.8101 0.0447
O: 0.5155 0.7947 0.9399
O: 0.8431 0.9742 0.9977
O: 0.1565 0.0409 0.4289
Na: 0.8750 0.3750 0.1250
O: 0.1789 0.7091 0.4065
O: 0.1899 0.5447 0.2345
C: 0.1087 0.8065 0.6134
O: 0.2345 0.1899 0.5447
C: 0.7703 0.6990 0.0447
O: 0.9550 0.4514 0.3776
C: 0.7947 0.0510 0.0203
O: 0.2014 0.7950 0.6276
C: 0.7297 0.3010 0.5447
O: 0.3724 0.7014 0.7050
O: 0.7655 0.6899 0.9553
C: 0.6087 0.6935 0.3866
O: 0.7909 0.5935 0.6789
O: 0.2477 0.7242 0.9069
C: 0.3866 0.6087 0.6935
O: 0.7758 0.0931 0.7477
C: 0.0565 0.8587 0.1366
O: 0.7050 0.3724 0.7014
C: 0.2297 0.1990 0.4553
C: 0.3065 0.8866 0.8913
C: 0.0203 0.7947 0.0510
O: 0.3211 0.2909 0.9065
Fe: 0.4895 0.5105 0.0105
O: 0.0935 0.8211 0.2091
C: 0.6413 0.8634 0.5565
O: 0.0450 0.9514 0.1224

Calculated values
Energy of formation from the pure elements = -1.785 eV per atom
Spin magnetization = 40.00 Bohr magnetons per cell

---

A plane-wave DFT calculation with PBE with a Hubbard U was carried out for crystalline MgMnVP2O8F2 at its relaxed geometry.

a b c (Å): 5.3255 5.3505 7.4704
angles (deg): 107.99 106.75 96.06
Atoms (fractional coordinates):
Mg: 0.9775 0.3163 0.7088
O: 0.3155 0.2853 0.6225
O: 0.2460 0.1457 0.8796
P: 0.5859 0.8976 0.2615
O: 0.3283 0.7948 0.6032
O: 0.6627 0.6910 0.3636
O: 0.6829 0.1877 0.4318
Mn: 0.4769 0.4942 0.4820
P: 0.4163 0.0918 0.7377
O: 0.7422 0.8836 0.1161
V: 0.0033 0.0012 0.0127
F: 0.1374 0.3372 0.2291
O: 0.2853 0.8367 0.1478
F: 0.8773 0.6603 0.7675
O: 0.7250 0.1766 0.8413

Calculated values
Energy of formation from the pure elements = -2.744 eV per atom
Spin magnetization = 6.00 Bohr magnetons per cell
Energy above the lowest structure with this stoichiometry = 55 meV per atom

---

A plane-wave DFT calculation with PBE with a Hubbard U was carried out for crystalline K2Na2Mo3WO12 at its relaxed geometry.

a b c (Å): 8.0231 8.0231 7.9126
angles (deg): 90.00 90.00 90.00
Atoms (fractional coordinates):
Mo: 0.5000 0.5000 0.7472
O: 0.0000 0.7594 0.7451
K: 0.2523 0.7477 0.0000
W: 0.0000 0.0000 0.2526
K: 0.7477 0.2523 0.0000
O: 0.0000 0.5000 0.5000
O: 0.0000 0.0000 0.0000
W: 0.0000 0.0000 0.7474
O: 0.5000 0.5000 0.0000
O: 0.5000 0.2561 0.7448
O: 0.5000 0.0000 0.5000
Na: 0.7477 0.7477 0.5000
Na: 0.2523 0.7477 0.5000
K: 0.7477 0.7477 0.0000
O: 0.7439 0.5000 0.2552
O: 0.0000 0.2406 0.7451
Mo: 0.5000 0.0000 0.7481
O: 0.5000 0.0000 0.0000
O: 0.5000 0.5000 0.5000
O: 0.0000 0.2406 0.2549
O: 0.5000 0.7439 0.2552
O: 0.7439 0.5000 0.7448
Mo: 0.5000 0.5000 0.2528
O: 0.0000 0.7594 0.2549
O: 0.2406 0.0000 0.2549
Mo: 0.0000 0.5000 0.7481
K: 0.2523 0.2523 0.0000
O: 0.2561 0.5000 0.7448
O: 0.2406 0.0000 0.7451
Na: 0.7477 0.2523 0.5000
O: 0.2561 0.5000 0.2552
O: 0.0000 0.5000 0.0000
O: 0.5000 0.7439 0.7448
O: 0.0000 0.0000 0.5000
O: 0.7594 0.0000 0.7451
Mo: 0.0000 0.5000 0.2519
Mo: 0.5000 0.0000 0.2519
O: 0.5000 0.2561 0.2552
O: 0.7594 0.0000 0.2549
Na: 0.2523 0.2523 0.5000

Calculated values
Energy of formation from the pure elements = -2.104 eV per atom
Spin magnetization = 8.00 Bohr magnetons per cell

---

A plane-wave DFT calculation with PBE with a Hubbard U was carried out for crystalline Li4FeSi2O8 at its relaxed geometry.

a b c (Å): 7.7082 11.2548 7.9695
angles (deg): 106.21 76.51 85.60
Atoms (fractional coordinates):
O: 0.5500 0.1646 0.9579
Li: 0.8224 0.7656 0.3638
O: 0.2267 0.0899 0.0066
Li: 0.7276 0.8517 0.7457
O: 0.0185 0.9490 0.2115
O: 0.4500 0.8354 0.0421
Li: 0.4276 0.7344 0.3862
O: 0.3764 0.3522 0.5527
O: 0.7267 0.0899 0.5066
Li: 0.9776 0.3517 0.4957
O: 0.4767 0.5899 0.7566
O: 0.7000 0.3354 0.7921
Li: 0.4776 0.3517 0.9957
O: 0.9500 0.8354 0.5421
Si: 0.6641 0.5880 0.6099
O: 0.3736 0.1479 0.6973
Si: 0.0859 0.9120 0.6401
O: 0.0233 0.4101 0.7434
O: 0.2315 0.5510 0.5385
Li: 0.3224 0.7656 0.8638
Si: 0.3359 0.4120 0.3901
O: 0.0500 0.1646 0.4579
O: 0.7685 0.4490 0.4615
Fe: 0.7500 0.5000 0.2500
O: 0.9767 0.5899 0.2566
Fe: 0.0000 0.0000 0.0000
O: 0.9815 0.0510 0.7885
O: 0.2685 0.4490 0.9615
O: 0.6236 0.6479 0.4473
Li: 0.6776 0.2344 0.1362
Li: 0.1776 0.2344 0.6362
O: 0.4815 0.0510 0.2885
O: 0.8736 0.1478 0.1973
O: 0.1236 0.6479 0.9473
Li: 0.2276 0.8517 0.2457
Si: 0.8359 0.4120 0.8901
Si: 0.4141 0.0880 0.8599
O: 0.5185 0.9490 0.7115
O: 0.6264 0.8521 0.3027
O: 0.5233 0.4101 0.2434
Si: 0.9141 0.0880 0.3599
Li: 0.0224 0.6483 0.5043
O: 0.8000 0.6646 0.7079
Li: 0.7724 0.1483 0.7543
Li: 0.0724 0.2656 0.1138
O: 0.1264 0.8521 0.8027
O: 0.8764 0.3522 0.0527
O: 0.7733 0.9101 0.9934
Li: 0.5224 0.6483 0.0043
O: 0.2999 0.6646 0.2079
Li: 0.9276 0.7344 0.8862
O: 0.2733 0.9101 0.4934
Fe: 0.2500 0.5000 0.7500
Fe: 0.5000 0.0000 0.5000
Si: 0.1641 0.5880 0.1099
Li: 0.2724 0.1483 0.2543
O: 0.2000 0.3354 0.2921
Li: 0.5724 0.2656 0.6138
Si: 0.5859 0.9120 0.1401
O: 0.7315 0.5510 0.0385

Calculated values
Energy of formation from the pure elements = -2.498 eV per atom
Spin magnetization = 0.00 Bohr magnetons per cell